Record 1
The following is a PBE calculation of TeMoWSe2S after structural relaxation, from Materials Project.

Results
Its total energy after the MP2020 corrections is -6.9694 eV per atom. Its energy relative to the elements is -0.6235 eV/atom. The value obtained for the final energy is -6.89 eV/atom. The energy above the most stable polymorph in this dataset comes out at 1 meV/atom.

Cell lengths 3.3429, 3.3429, 38.5916 Å; angles 90.00, 90.00, 120.00 degrees
With the nearest neighbours (Å) after each atom.
Space group P3m1 (No. 156)
One atom of each set of equivalent atoms:
Te: 0.0000 0.0000 0.0000 [1 per cell]  3 Mo 2.70
Te: 0.0000 0.0000 0.0982 [1 per cell]  3 Mo 2.71
Mo: 0.0000 0.0000 0.8603 [1 per cell]  6 Se 2.55
Mo: 0.6667 0.3333 0.0491 [1 per cell]  6 Te 2.70-2.71
W: 0.0000 0.0000 0.2382 [1 per cell]  6 Se 2.56
W: 0.6667 0.3333 0.6732 [1 per cell]  6 S 2.46
Se: 0.6667 0.3333 0.1948 [1 per cell]  3 W 2.56
Se: 0.6667 0.3333 0.2816 [1 per cell]  3 W 2.56
Se: 0.6667 0.3333 0.8172 [1 per cell]  3 Mo 2.55
Se: 0.6667 0.3333 0.9035 [1 per cell]  3 Mo 2.55
S: 0.0000 0.0000 0.6338 [1 per cell]  3 W 2.46
S: 0.0000 0.0000 0.7126 [1 per cell]  3 W 2.46


Record 2
The following is a PBE calculation of Te2MoWSeS after structural relaxation, from Materials Project.

Results
Its total energy after the MP2020 corrections is -6.7929 eV per atom. Its energy relative to the elements is -0.5058 eV/atom. The value obtained for the final energy is -6.71 eV/atom. The energy above the most stable polymorph in this dataset comes out at 1 meV/atom.

Cell lengths 3.3955, 3.3955, 39.8602 Å; angles 90.00, 90.00, 120.00 degrees
With the nearest neighbours (Å) after each atom.
Space group P3m1 (No. 156)
One atom of each set of equivalent atoms:
Te: 0.0000 0.0000 0.0000 [1 per cell]  3 Mo 2.71
Te: 0.0000 0.0000 0.0941 [1 per cell]  3 Mo 2.71
Te: 0.3333 0.6667 0.1893 [1 per cell]  3 Mo 2.71
Te: 0.3333 0.6667 0.2834 [1 per cell]  3 Mo 2.71
Mo: 0.0000 0.0000 0.2363 [1 per cell]  6 Te 2.71
Mo: 0.3333 0.6667 0.0470 [1 per cell]  6 Te 2.71
W: 0.0000 0.0000 0.8600 [1 per cell]  6 S 2.47
W: 0.3333 0.6667 0.4239 [1 per cell]  6 Se 2.57
Se: 0.0000 0.0000 0.3823 [1 per cell]  3 W 2.57
Se: 0.0000 0.0000 0.4654 [1 per cell]  3 W 2.57
S: 0.3333 0.6667 0.8221 [1 per cell]  3 W 2.47
S: 0.3333 0.6667 0.8978 [1 per cell]  3 W 2.47


Record 3
The following is a PBE calculation of TeMoWSe2S after structural relaxation, from Materials Project.

Results
Its total energy after the MP2020 corrections is -6.9332 eV per atom. Its energy relative to the elements is -0.5873 eV/atom. The value obtained for the final energy is -6.85 eV/atom. The energy above the most stable polymorph in this dataset comes out at 37 meV/atom.

Cell lengths 3.3467, 3.3467, 38.0490 Å; angles 90.00, 90.00, 120.00 degrees
With the nearest neighbours (Å) after each atom.
Space group P3m1 (No. 156)
One atom of each set of equivalent atoms:
Te: 0.0000 0.0000 0.0000 [1 per cell]  3 W 2.71
Te: 0.0000 0.0000 0.1002 [1 per cell]  3 W 2.71
Mo: 0.0000 0.0000 0.4865 [1 per cell]  6 Se 2.55
Mo: 0.0000 0.0000 0.8622 [1 per cell]  6 S 2.46
W: 0.3333 0.6667 0.0501 [1 per cell]  6 Te 2.71
W: 0.3333 0.6667 0.6744 [1 per cell]  6 Se 2.56
Se: 0.0000 0.0000 0.6303 [1 per cell]  3 W 2.56
Se: 0.0000 0.0000 0.7184 [1 per cell]  3 W 2.56
Se: 0.3333 0.6667 0.4427 [1 per cell]  3 Mo 2.55
Se: 0.3333 0.6667 0.5302 [1 per cell]  3 Mo 2.55
S: 0.3333 0.6667 0.8224 [1 per cell]  3 Mo 2.46
S: 0.3333 0.6667 0.9020 [1 per cell]  3 Mo 2.46


Record 4
The following is a PBE calculation of Te2MoW3Se2S4 after structural relaxation, from Materials Project.

Results
Its total energy after the MP2020 corrections is -7.3212 eV per atom. Its energy relative to the elements is -0.6925 eV/atom. The value obtained for the final energy is -7.15 eV/atom. The energy above the most stable polymorph in this dataset comes out at 39 meV/atom.

Cell lengths 3.3094, 3.3094, 37.0487 Å; angles 90.00, 90.00, 120.00 degrees
With the nearest neighbours (Å) after each atom.
Space group P3m1 (No. 156)
One atom of each set of equivalent atoms:
Te: 0.0000 0.0000 0.0000 [1 per cell]  3 W 2.71
Te: 0.0000 0.0000 0.1039 [1 per cell]  3 W 2.71
Mo: 0.0000 0.0000 0.4882 [1 per cell]  6 S 2.45
W: 0.0000 0.0000 0.8638 [1 per cell]  6 S 2.45
W: 0.3333 0.6667 0.0520 [1 per cell]  6 Te 2.71
W: 0.3333 0.6667 0.6760 [1 per cell]  6 Se 2.55
Se: 0.0000 0.0000 0.6305 [1 per cell]  3 W 2.55
Se: 0.0000 0.0000 0.7216 [1 per cell]  3 W 2.55
S: 0.3333 0.6667 0.4469 [1 per cell]  3 Mo 2.45
S: 0.3333 0.6667 0.5294 [1 per cell]  3 Mo 2.45
S: 0.3333 0.6667 0.8225 [1 per cell]  3 W 2.45
S: 0.3333 0.6667 0.9052 [1 per cell]  3 W 2.45


Record 5
The following is a PBE calculation of Te2MoWSeS after structural relaxation, from Materials Project.

Results
Its total energy after the MP2020 corrections is -6.7733 eV per atom. Its energy relative to the elements is -0.4862 eV/atom. The value obtained for the final energy is -6.69 eV/atom. The energy above the most stable polymorph in this dataset comes out at 21 meV/atom.

Cell lengths 3.3970, 3.3970, 38.7187 Å; angles 90.00, 90.00, 120.00 degrees
With the nearest neighbours (Å) after each atom.
Space group P3m1 (No. 156)
One atom of each set of equivalent atoms:
Te: 0.0000 0.0000 0.0000 [1 per cell]  3 Mo 2.71
Te: 0.0000 0.0000 0.0967 [1 per cell]  3 Mo 2.71
Te: 0.0000 0.0000 0.3754 [1 per cell]  3 W 2.72
Te: 0.0000 0.0000 0.4728 [1 per cell]  3 W 2.72
Mo: 0.0000 0.0000 0.2362 [1 per cell]  6 Se 2.56
Mo: 0.6667 0.3333 0.0483 [1 per cell]  6 Te 2.71
W: 0.0000 0.0000 0.6120 [1 per cell]  6 S 2.47
W: 0.6667 0.3333 0.4241 [1 per cell]  6 Te 2.72
Se: 0.6667 0.3333 0.1936 [1 per cell]  3 Mo 2.56
Se: 0.6667 0.3333 0.2788 [1 per cell]  3 Mo 2.56
S: 0.6667 0.3333 0.5730 [1 per cell]  3 W 2.47
S: 0.6667 0.3333 0.6509 [1 per cell]  3 W 2.47


Record 6
The following is a PBE calculation of Te2MoW3Se2S4 after structural relaxation, from Materials Project.

Results
Its total energy after the MP2020 corrections is -7.3595 eV per atom. Its energy relative to the elements is -0.7308 eV/atom. The value obtained for the final energy is -7.19 eV/atom. The energy above the most stable polymorph in this dataset comes out at 1 meV/atom.

Cell lengths 3.3057, 3.3057, 37.6347 Å; angles 90.00, 90.00, 120.00 degrees
With the nearest neighbours (Å) after each atom.
Space group P3m1 (No. 156)
One atom of each set of equivalent atoms:
Te: 0.0000 0.0000 0.0000 [1 per cell]  3 Mo 2.70
Te: 0.0000 0.0000 0.1016 [1 per cell]  3 Mo 2.70
Mo: 0.6667 0.3333 0.0508 [1 per cell]  6 Te 2.70
W: 0.0000 0.0000 0.2387 [1 per cell]  6 S 2.45
W: 0.0000 0.0000 0.6145 [1 per cell]  6 S 2.45
W: 0.6667 0.3333 0.4265 [1 per cell]  6 Se 2.55
Se: 0.0000 0.0000 0.3817 [1 per cell]  3 W 2.55
Se: 0.0000 0.0000 0.4714 [1 per cell]  3 W 2.55
S: 0.6667 0.3333 0.1980 [1 per cell]  3 W 2.45
S: 0.6667 0.3333 0.2795 [1 per cell]  3 W 2.45
S: 0.6667 0.3333 0.5737 [1 per cell]  3 W 2.45
S: 0.6667 0.3333 0.6552 [1 per cell]  3 W 2.45